# 1
Here is a relaxed U2Si7Ni2 crystal from Materials Project. Energies are from GGA-PBE.

a b c (Å): 3.9726 10.8413 10.8413
angles (deg): 21.51 90.00 90.00
Atoms (fractional coordinates):
U 0.0000 0.0000 0.0000
U 0.0000 0.3372 0.3372
Si 0.0000 0.6102 0.6102
Si 0.0000 0.7281 0.7281
Si 0.5000 0.1087 0.1087
Si 0.5000 0.2279 0.2279
Si 0.5000 0.4389 0.4389
Si 0.5000 0.5453 0.5453
Si 0.5000 0.8849 0.8849
Ni 0.0000 0.1629 0.1629
Ni 0.5000 0.7792 0.7792

Results
As for the total energy: -6.8408 eV/atom. The space-group type is Amm2 (38). The value obtained for the density is 7.66 g/cm³. Its crystal system is orthorhombic. The calculation puts the total magnetization at 0.12 μB per formula unit.

# 2
Here is a relaxed Li2Tm3Ge3 crystal from Materials Project. Energies are from GGA-PBE.

a b c (Å): 5.8726 5.8726 14.0448
angles (deg): 90.00 90.00 138.08
Atoms (fractional coordinates):
Li 0.2193 0.7807 0.5842
Li 0.2193 0.7807 0.9158
Li 0.7807 0.2193 0.0842
Li 0.7807 0.2193 0.4158
Tm 0.0743 0.9257 0.1149
Tm 0.0743 0.9257 0.3851
Tm 0.3617 0.6383 0.2500
Tm 0.6383 0.3617 0.7500
Tm 0.9257 0.0743 0.6149
Tm 0.9257 0.0743 0.8851
Ge 0.3357 0.6643 0.7500
Ge 0.3977 0.6023 0.0448
Ge 0.3977 0.6023 0.4552
Ge 0.6023 0.3977 0.5448
Ge 0.6023 0.3977 0.9552
Ge 0.6643 0.3357 0.2500

Results
As for the total energy: -4.5484 eV/atom. The space-group type is Cmcm (63). The value obtained for the density is 7.58 g/cm³. Its crystal system is orthorhombic. The calculation puts the total magnetization at 0.81 μB per formula unit.

# 3
Here is a relaxed La6Al5Fe9 crystal from Materials Project. Energies are from GGA-PBE.

a b c (Å): 13.3126 13.3126 13.3126
angles (deg): 144.09 144.09 51.69
Atoms (fractional coordinates):
La 0.0209 0.5209 0.1637
La 0.1066 0.1066 0.0000
La 0.1428 0.9791 0.5000
La 0.3572 0.8572 0.8363
La 0.3934 0.3934 0.0000
La 0.4791 0.6428 0.5000
La 0.5209 0.3572 0.5000
La 0.6066 0.6066 0.0000
La 0.6428 0.1428 0.1637
La 0.8572 0.0209 0.5000
La 0.8934 0.8934 0.0000
La 0.9791 0.4791 0.8363
Al 0.0274 0.2904 0.5000
Al 0.2096 0.4726 0.5000
Al 0.2500 0.2500 0.0000
Al 0.2904 0.7904 0.2630
Al 0.4726 0.9726 0.2630
Al 0.5274 0.0274 0.7370
Al 0.7096 0.2096 0.7370
Al 0.7500 0.7500 0.0000
Al 0.7904 0.5274 0.5000
Al 0.9726 0.7096 0.5000
Fe 0.0000 0.5000 0.5000
Fe 0.0681 0.2104 0.2785
Fe 0.1209 0.6209 0.8524
Fe 0.2104 0.9319 0.1424
Fe 0.2314 0.7314 0.8524
Fe 0.2686 0.1209 0.5000
Fe 0.2896 0.4319 0.7215
Fe 0.3791 0.2314 0.5000
Fe 0.4319 0.7104 0.1424
Fe 0.5000 0.0000 0.5000
Fe 0.5681 0.2896 0.8576
Fe 0.6209 0.7686 0.5000
Fe 0.7104 0.5681 0.2785
Fe 0.7314 0.8791 0.5000
Fe 0.7686 0.2686 0.1476
Fe 0.7896 0.0681 0.8576
Fe 0.8791 0.3791 0.1476
Fe 0.9319 0.7896 0.7215

Results
As for the total energy: -6.4483 eV/atom. The space-group type is I4/mcm (140). The value obtained for the density is 6.05 g/cm³. Its crystal system is tetragonal. The calculation puts the total magnetization at 17.22 μB per formula unit.

# 4
Here is a relaxed Er3AlC crystal from Materials Project. Energies are from GGA-PBE.

a b c (Å): 4.8290 4.8290 4.8290
angles (deg): 90.00 90.00 90.00
Atoms (fractional coordinates):
Er 0.0000 0.0000 0.5000
Er 0.0000 0.5000 0.0000
Er 0.5000 0.0000 0.0000
Al 0.5000 0.5000 0.5000
C 0.0000 0.0000 0.0000

Results
As for the total energy: -5.7669 eV/atom. The space-group type is Pm-3m (221). The value obtained for the density is 7.97 g/cm³. Its crystal system is cubic.